# 1
An optimized crystal structure of Tb3Ga5O12, computed with GGA-PBE.

## Properties
**Formation enthalpy at 0 K**: -2970 meV/atom
**E_tot**: -6.9787 eV/atom

Lattice parameters (Å, degrees): 10.776 10.776 10.776 109.47 109.47 109.47
Atoms (fractional coordinates):
O1 0.095 0.623 0.417
O2 0.877 0.405 0.083
O3 0.917 0.123 0.595
O4 0.472 0.595 0.178
O5 0.178 0.472 0.595
O6 0.377 0.294 0.472
O7 0.583 0.178 0.206
O8 0.877 0.972 0.794
O9 0.623 0.417 0.095
O10 0.706 0.678 0.083
O11 0.322 0.917 0.294
O12 0.794 0.417 0.822
O13 0.417 0.822 0.794
O14 0.123 0.595 0.917
O15 0.623 0.706 0.528
O16 0.706 0.528 0.623
O17 0.678 0.095 0.972
O18 0.322 0.905 0.028
O19 0.917 0.294 0.322
O20 0.083 0.706 0.678
O21 0.028 0.206 0.123
O22 0.595 0.917 0.123
O23 0.905 0.377 0.583
O24 0.678 0.083 0.706
O25 0.206 0.583 0.178
O26 0.095 0.972 0.678
O27 0.206 0.123 0.028
O28 0.405 0.822 0.528
O29 0.472 0.377 0.294
O30 0.294 0.322 0.917
O31 0.528 0.623 0.706
O32 0.405 0.083 0.877
O33 0.595 0.178 0.472
O34 0.528 0.405 0.822
O35 0.905 0.028 0.322
O36 0.417 0.095 0.623
O37 0.083 0.877 0.405
O38 0.294 0.472 0.377
O39 0.028 0.322 0.905
O40 0.178 0.206 0.583
O41 0.822 0.528 0.405
O42 0.822 0.794 0.417
O43 0.972 0.678 0.095
O44 0.123 0.028 0.206
O45 0.972 0.794 0.877
O46 0.794 0.877 0.972
O47 0.583 0.905 0.377
O48 0.377 0.583 0.905
Tb1 0.750 0.125 0.375
Tb2 0.625 0.250 0.875
Tb3 0.375 0.750 0.125
Tb4 0.250 0.375 0.125
Tb5 0.625 0.875 0.750
Tb6 0.125 0.250 0.375
Tb7 0.875 0.750 0.625
Tb8 0.250 0.875 0.625
Tb9 0.750 0.625 0.875
Tb10 0.125 0.375 0.750
Tb11 0.875 0.625 0.250
Tb12 0.375 0.125 0.250
Ga1 0.125 0.750 0.875
Ga2 0.500 0.000 0.000
Ga3 0.000 0.000 0.500
Ga4 0.625 0.750 0.375
Ga5 0.875 0.125 0.750
Ga6 0.375 0.250 0.625
Ga7 0.625 0.375 0.250
Ga8 0.125 0.875 0.250
Ga9 0.750 0.375 0.625
Ga10 0.375 0.625 0.750
Ga11 0.250 0.625 0.375
Ga12 0.750 0.875 0.125
Ga13 0.000 0.500 0.500
Ga14 0.500 0.500 0.500
Ga15 0.250 0.125 0.875
Ga16 0.500 0.500 0.000
Ga17 0.875 0.250 0.125
Ga18 0.500 0.000 0.500
Ga19 0.000 0.500 0.000
Ga20 0.000 0.000 0.000



# 2
An optimized crystal structure of PmSm3, computed with GGA-PBE.

## Properties
**Offset from the most stable computed form**: 17 meV/atom
**Formation enthalpy at 0 K**: 28 meV/atom
**E_tot**: -4.6990 eV/atom

Lattice parameters (Å, degrees): 7.315 7.315 5.970 90.00 90.00 120.00
Atoms (fractional coordinates):
Sm1 0.166 0.834 0.250
Sm2 0.834 0.668 0.750
Sm3 0.332 0.166 0.750
Sm4 0.166 0.332 0.250
Sm5 0.834 0.166 0.750
Sm6 0.668 0.834 0.250
Pm1 0.333 0.667 0.750
Pm2 0.667 0.333 0.250



# 3
An optimized crystal structure of NdTa2O6, computed with GGA-PBE.

## Properties
**Formation enthalpy at 0 K**: -3437 meV/atom
**E_tot**: -9.4429 eV/atom

Lattice parameters (Å, degrees): 3.989 3.989 7.972 90.00 90.00 90.00
Atoms (fractional coordinates):
O1 0.000 0.000 0.000
O2 0.500 0.000 0.221
O3 0.000 0.500 0.221
O4 0.000 0.000 0.500
O5 0.500 0.000 0.779
O6 0.000 0.500 0.779
Ta1 0.000 0.000 0.742
Ta2 0.000 0.000 0.258
Nd1 0.500 0.500 0.000